(1)
La4Mg | PBE-GGA | relaxed

Summary:
DFT formation energy = -0.024 eV/atom
Volume = 173.2 Å³/cell

a = 12.2187 Å, b = 12.2187 Å, c = 12.2187 Å
α = 162.05°, β = 162.05°, γ = 25.49°
Positions (direct):
La (0.0884, 0.0884, 0.0000)
La (0.3061, 0.3061, 0.0000)
La (0.6939, 0.6939, 0.0000)
La (0.9116, 0.9116, 0.0000)
Mg (0.5000, 0.5000, 0.0000)


(2)
Na9Mg5Ta7P18O72 | PBE-GGA | relaxed

Summary:
DFT formation energy = -2.913 eV/atom
E (MP2020) = -879.9 eV per cell
Volume = 1506.1 Å³/cell

a = 8.7446 Å, b = 8.7781 Å, c = 22.6106 Å
α = 90.13°, β = 90.01°, γ = 119.80°
Positions (direct):
Na (0.0000, 0.0000, 0.0000)
Na (0.9996, 0.0020, 0.5042)
Na (0.0233, 0.3242, 0.9219)
Na (0.3322, 0.6586, 0.3348)
Na (0.3400, 0.6769, 0.8327)
Na (0.3557, 0.9898, 0.2546)
Na (0.6637, 0.3334, 0.1660)
Na (0.6661, 0.3353, 0.6793)
Na (0.9644, 0.6573, 0.0881)
Mg (0.3329, 0.6629, 0.1937)
Mg (0.3326, 0.6681, 0.6964)
Mg (0.6604, 0.3297, 0.0269)
Mg (0.9992, 0.0023, 0.3626)
Mg (0.9987, 0.9957, 0.8606)
Ta (0.3328, 0.6691, 0.4881)
Ta (0.3390, 0.6730, 0.9872)
Ta (0.6635, 0.3346, 0.8210)
Ta (0.6658, 0.3349, 0.5300)
Ta (0.6707, 0.3406, 0.3189)
Ta (0.9982, 0.0072, 0.1540)
Ta (0.9991, 0.0011, 0.6590)
P (0.0032, 0.7165, 0.2598)
P (0.0044, 0.2964, 0.7621)
P (0.0427, 0.3817, 0.0926)
P (0.0460, 0.6711, 0.5935)
P (0.2831, 0.2947, 0.2616)
P (0.2887, 0.9966, 0.7612)
P (0.3290, 0.3793, 0.5934)
P (0.3405, 0.9631, 0.0951)
P (0.3753, 0.0468, 0.4247)
P (0.3748, 0.3301, 0.9273)
P (0.6197, 0.6638, 0.0943)
P (0.6217, 0.9551, 0.5934)
P (0.6691, 0.0482, 0.9265)
P (0.6693, 0.6266, 0.4256)
P (0.7054, 0.7129, 0.7613)
P (0.7087, 0.9957, 0.2616)
P (0.9525, 0.6291, 0.9282)
P (0.9552, 0.3325, 0.4255)
O (0.0227, 0.2116, 0.8172)
O (0.0225, 0.8349, 0.5969)
O (0.0296, 0.1953, 0.0995)
O (0.0304, 0.8281, 0.3135)
O (0.1202, 0.6327, 0.6469)
O (0.1270, 0.4946, 0.1461)
O (0.1367, 0.5058, 0.4334)
O (0.1398, 0.6350, 0.9328)
O (0.1581, 0.4754, 0.7511)
O (0.1589, 0.9683, 0.0994)
O (0.1597, 0.4636, 0.0351)
O (0.1601, 0.6950, 0.5363)
O (0.1605, 0.6903, 0.2516)
O (0.1658, 0.1923, 0.5969)
O (0.1798, 0.2062, 0.3155)
O (0.1805, 0.9789, 0.8144)
O (0.1872, 0.1825, 0.9189)
O (0.1955, 0.0268, 0.4219)
O (0.1994, 0.0309, 0.7033)
O (0.2015, 0.1699, 0.2048)
O (0.3001, 0.8355, 0.0395)
O (0.3061, 0.4701, 0.5362)
O (0.3163, 0.4780, 0.2525)
O (0.3161, 0.8438, 0.7507)
O (0.3553, 0.8790, 0.1512)
O (0.3597, 0.5056, 0.9326)
O (0.3665, 0.8648, 0.4337)
O (0.3682, 0.4916, 0.6469)
O (0.4602, 0.3097, 0.9813)
O (0.4715, 0.3010, 0.2665)
O (0.4741, 0.1739, 0.7649)
O (0.4761, 0.1623, 0.4793)
O (0.4925, 0.1447, 0.0861)
O (0.4925, 0.3536, 0.5805)
O (0.4940, 0.1319, 0.3691)
O (0.4943, 0.3645, 0.8704)
O (0.4952, 0.6347, 0.4334)
O (0.4957, 0.8624, 0.9328)
O (0.5093, 0.8814, 0.6468)
O (0.5137, 0.6437, 0.1482)
O (0.5207, 0.8493, 0.2527)
O (0.5249, 0.6854, 0.7506)
O (0.5316, 0.8408, 0.5362)
O (0.5340, 0.6980, 0.0374)
O (0.6344, 0.1344, 0.8700)
O (0.6360, 0.5045, 0.3707)
O (0.6472, 0.1430, 0.5804)
O (0.6591, 0.5156, 0.0858)
O (0.6839, 0.5265, 0.4801)
O (0.6931, 0.1715, 0.2667)
O (0.6983, 0.1602, 0.9802)
O (0.6977, 0.5277, 0.7655)
O (0.7941, 0.9751, 0.3155)
O (0.7948, 0.8222, 0.8144)
O (0.8099, 0.8388, 0.0994)
O (0.8097, 0.9789, 0.5969)
O (0.8273, 0.0242, 0.9177)
O (0.8269, 0.3049, 0.7651)
O (0.8283, 0.0319, 0.2045)
O (0.8286, 0.8046, 0.4218)
O (0.8298, 0.5291, 0.2663)
O (0.8297, 0.8022, 0.7034)
O (0.8406, 0.3179, 0.4801)
O (0.8538, 0.5454, 0.9843)
O (0.8579, 0.5087, 0.5806)
O (0.8599, 0.3570, 0.0847)
O (0.8658, 0.3659, 0.3708)
O (0.8660, 0.5014, 0.8727)
O (0.9674, 0.7971, 0.2021)
O (0.9705, 0.1706, 0.7049)
O (0.9745, 0.1732, 0.4218)
O (0.9828, 0.8113, 0.9194)


(3)
MgCd | PBE-GGA | relaxed

Summary:
DFT formation energy = -0.059 eV/atom
Volume = 88.5 Å³/cell

a = 3.1844 Å, b = 5.2424 Å, c = 5.3036 Å
α = 90.00°, β = 90.00°, γ = 90.00°
Positions (direct):
Mg (0.2500, 0.2500, 0.0860)
Mg (0.7500, 0.7500, 0.9140)
Cd (0.2500, 0.7500, 0.4055)
Cd (0.7500, 0.2500, 0.5945)


(4)
CeGe2 | PBE-GGA | relaxed

Summary:
DFT formation energy = -0.574 eV/atom
Volume = 136.6 Å³/cell

a = 8.4524 Å, b = 8.4524 Å, c = 8.4524 Å
α = 151.57°, β = 151.57°, γ = 40.64°
Positions (direct):
Ce (0.3750, 0.6250, 0.7500)
Ce (0.6250, 0.3750, 0.2500)
Ge (0.0447, 0.7947, 0.2500)
Ge (0.2053, 0.9553, 0.2500)
Ge (0.7947, 0.0447, 0.7500)
Ge (0.9553, 0.2053, 0.7500)


> Which value of DFT formation energy does entry 3 give?

-0.059 eV/atom